{"formula": "Rb2Mo9Se10", "functional": "PBE-GGA", "state": "relaxed", "lattice_angstrom": [[-1.1993, 13.2174, -4.6148], [-2.1632, 6.9681, -12.0083], [-9.5761, 8.4348, -5.8810]], "species": ["Mo", "Mo", "Mo", "Mo", "Mo", "Mo", "Mo", "Mo", "Mo", "Mo", "Mo", "Mo", "Mo", "Mo", "Mo", "Mo", "Mo", "Mo", "Se", "Se", "Se", "Se", "Se", "Se", "Se", "Se", "Se", "Se", "Se", "Se", "Se", "Se", "Se", "Se", "Se", "Se", "Se", "Se", "Rb", "Rb", "Rb", "Rb"], "frac_coords": [[0.9891, 0.8036, 0.1182], [0.1964, 0.8818, 0.0109], [0.0013, 0.1263, 0.3141], [0.8957, 0.0795, 0.7620], [0.8036, 0.1182, 0.9891], [0.8737, 0.6859, 0.9987], [0.7620, 0.8957, 0.0795], [0.0109, 0.1964, 0.8818], [0.1043, 0.9205, 0.2380], [0.9987, 0.8737, 0.6859], [0.8818, 0.0109, 0.1964], [0.6859, 0.9987, 0.8737], [0.1263, 0.3141, 0.0013], [0.0795, 0.7620, 0.8957], [0.9205, 0.2380, 0.1043], [0.2380, 0.1043, 0.9205], [0.1182, 0.9891, 0.8036], [0.3141, 0.0013, 0.1263], [0.2031, 0.9456, 0.5855], [0.8176, 0.1865, 0.5668], [0.7969, 0.0544, 0.4145], [0.1824, 0.8135, 0.4332], [0.9319, 0.3027, 0.6791], [0.8135, 0.4332, 0.1824], [0.3027, 0.6791, 0.9319], [0.5668, 0.8176, 0.1865], [0.3209, 0.0681, 0.6973], [0.8003, 0.8003, 0.8003], [0.0544, 0.4145, 0.7969], [0.4332, 0.1824, 0.8135], [0.1997, 0.1997, 0.1997], [0.4145, 0.7969, 0.0544], [0.6973, 0.3209, 0.0681], [0.9456, 0.5855, 0.2031], [0.0681, 0.6973, 0.3209], [0.5855, 0.2031, 0.9456], [0.6791, 0.9319, 0.3027], [0.1865, 0.5668, 0.8176], [0.7048, 0.7048, 0.7048], [0.2952, 0.2952, 0.2952], [0.4236, 0.4236, 0.4236], [0.5764, 0.5764, 0.5764]], "magnetic_moment_mub_per_cell": 0.2, "space_group": "R-3 (148)", "e_form_ev_per_atom": -0.890}